# 1
# GGA-PBE Tl3PbCl5, optimized geometry
data_Tl3PbCl5
_cell_length_a 8.7216
_cell_length_b 8.7437
_cell_length_c 14.7472
_cell_angle_alpha 90.00
_cell_angle_beta 90.00
_cell_angle_gamma 90.00
_space_group_name_H-M_alt 'P 21 21 21'
_space_group_IT_number 19
_space_group_name_Hall 'P 2ac 2ab'
loop_
_atom_site_label
_atom_site_fract_x
_atom_site_fract_y
_atom_site_fract_z
Tl1 0.0850 0.1292 0.2140
Tl2 0.1066 0.1612 0.5163
Tl3 0.2449 0.6916 0.4493
Pb1 0.0613 0.5259 0.7027
Cl1 0.0629 0.9980 0.9917
Cl2 0.0844 0.8313 0.6343
Cl3 0.1205 0.4680 0.1191
Cl4 0.2123 0.6521 0.8527
Cl5 0.2146 0.1795 0.7337
# energy of formation = -1.40 eV per atom

***

# 2
# GGA-PBE Li2Cu4S3, optimized geometry
data_Li2Cu4S3
_cell_length_a 14.8401
_cell_length_b 3.7975
_cell_length_c 10.0313
_cell_angle_alpha 90.00
_cell_angle_beta 108.62
_cell_angle_gamma 90.00
_space_group_name_H-M_alt 'C 1 2/m 1'
_space_group_IT_number 12
_space_group_name_Hall '-C 2y'
loop_
_atom_site_label
_atom_site_fract_x
_atom_site_fract_y
_atom_site_fract_z
Li1 0.1645 0.0000 0.3492
Li2 0.1916 0.5000 0.8522
Cu1 0.0152 0.5000 0.3819
Cu2 0.0305 0.5000 0.1355
Cu3 0.1011 0.0000 0.0136
Cu4 0.1013 0.0000 0.5995
S1 0.0299 0.0000 0.7746
S2 0.1615 0.5000 0.5433
S3 0.1820 0.5000 0.1222
# energy of formation = -0.67 eV per atom
# distance to the lowest polymorph of the same formula = 0 meV per atom

***

# 3
# GGA-PBE GdZn, optimized geometry
data_GdZn
_cell_length_a 3.6058
_cell_length_b 3.6058
_cell_length_c 3.6058
_cell_angle_alpha 90.00
_cell_angle_beta 90.00
_cell_angle_gamma 90.00
_space_group_name_H-M_alt 'P m -3 m'
_space_group_IT_number 221
_space_group_name_Hall '-P 4 2 3'
loop_
_atom_site_label
_atom_site_fract_x
_atom_site_fract_y
_atom_site_fract_z
Gd1 0.0000 0.0000 0.0000
Zn1 0.5000 0.5000 0.5000
# energy of formation = -0.37 eV per atom

***

# 4
# GGA-PBE CuCN2, optimized geometry
data_CuCN2
_cell_length_a 2.9813
_cell_length_b 6.6403
_cell_length_c 9.4476
_cell_angle_alpha 90.00
_cell_angle_beta 90.00
_cell_angle_gamma 90.00
_space_group_name_H-M_alt 'C m c m'
_space_group_IT_number 63
_space_group_name_Hall '-C 2c 2'
loop_
_atom_site_label
_atom_site_fract_x
_atom_site_fract_y
_atom_site_fract_z
Cu1 0.0000 0.0000 0.0000
C1 0.0000 0.4014 0.2500
N1 0.0000 0.3922 0.1193
# energy of formation = 0.19 eV per atom